Na2Ti3ZnP4S2O24: relaxed, GGA-PBE.

abc: 8.621 8.622 22.422
angles: 89.94 89.90 60.04
Element x y z (fractional)
Na: 0.000 0.000 0.000
Na: 0.002 0.000 0.504
Na: 0.334 0.331 0.334
Na: 0.336 0.332 0.830
Na: 0.665 0.665 0.671
Na: 0.667 0.669 0.166
Ti: 0.008 0.009 0.650
Ti: 0.322 0.343 0.483
Ti: 0.331 0.334 0.977
Ti: 0.659 0.667 0.818
Ti: 0.663 0.664 0.522
Ti: 0.672 0.669 0.317
Ti: 0.989 0.009 0.150
Ti: 0.993 0.011 0.358
Ti: 0.996 0.011 0.856
Zn: 0.332 0.329 0.190
Zn: 0.333 0.337 0.688
Zn: 0.665 0.670 0.016
P: 0.042 0.339 0.587
P: 0.291 0.002 0.754
P: 0.331 0.625 0.587
P: 0.372 0.673 0.921
P: 0.379 0.957 0.419
P: 0.662 0.383 0.419
P: 0.669 0.955 0.920
P: 0.710 0.003 0.254
P: 0.710 0.292 0.753
P: 0.951 0.381 0.920
P: 0.952 0.671 0.420
P: 0.997 0.292 0.254
S: 0.043 0.625 0.087
S: 0.286 0.717 0.253
S: 0.333 0.043 0.087
S: 0.620 0.338 0.087
S: 0.623 0.044 0.585
S: 0.996 0.717 0.753
O: 0.017 0.805 0.807
O: 0.020 0.174 0.309
O: 0.021 0.168 0.591
O: 0.030 0.808 0.092
O: 0.115 0.374 0.642
O: 0.124 0.522 0.141
O: 0.139 0.501 0.426
O: 0.143 0.360 0.927
O: 0.155 0.540 0.750
O: 0.155 0.541 0.033
O: 0.160 0.813 0.592
O: 0.161 0.307 0.530
O: 0.162 0.311 0.250
O: 0.163 0.030 0.092
O: 0.173 0.020 0.808
O: 0.177 0.803 0.307
O: 0.183 0.830 0.908
O: 0.193 0.975 0.411
O: 0.202 0.972 0.697
O: 0.203 0.828 0.199
O: 0.304 0.157 0.032
O: 0.304 0.533 0.530
O: 0.305 0.169 0.749
O: 0.305 0.539 0.249
O: 0.357 0.123 0.141
O: 0.357 0.499 0.927
O: 0.361 0.143 0.427
O: 0.373 0.514 0.642
O: 0.442 0.710 0.977
O: 0.465 0.704 0.258
O: 0.466 0.839 0.474
O: 0.475 0.828 0.760
O: 0.488 0.863 0.080
O: 0.494 0.653 0.575
O: 0.495 0.636 0.865
O: 0.497 0.146 0.927
O: 0.497 0.361 0.427
O: 0.497 0.867 0.363
O: 0.517 0.360 0.141
O: 0.518 0.113 0.640
O: 0.527 0.309 0.749
O: 0.529 0.169 0.250
O: 0.539 0.156 0.531
O: 0.539 0.307 0.033
O: 0.633 0.870 0.864
O: 0.635 0.499 0.363
O: 0.646 0.861 0.576
O: 0.649 0.491 0.081
O: 0.696 0.467 0.474
O: 0.699 0.829 0.260
O: 0.702 0.475 0.760
O: 0.707 0.850 0.977
O: 0.804 0.167 0.092
O: 0.805 0.024 0.590
O: 0.806 0.175 0.808
O: 0.810 0.020 0.309
O: 0.822 0.475 0.260
O: 0.828 0.986 0.908
O: 0.830 0.704 0.758
O: 0.830 0.972 0.197
O: 0.831 0.198 0.697
O: 0.832 0.195 0.412
O: 0.836 0.700 0.475
O: 0.847 0.447 0.977
O: 0.852 0.501 0.575
O: 0.862 0.652 0.081
O: 0.867 0.499 0.864
O: 0.867 0.638 0.363
O: 0.970 0.199 0.198
O: 0.971 0.827 0.698
O: 0.975 0.835 0.411
O: 0.984 0.189 0.910

Computed properties:
Corrected total energy (MP2020 scheme) = -7.58 eV per atom
Total magnetization = 0.0 μB/f.u.
Space group = P1

NaZr2Ti2P5SO24: relaxed, GGA-PBE.

abc: 8.764 8.765 22.790
angles: 89.95 89.90 60.06
Element x y z (fractional)
Na: 0.000 0.000 0.000
Na: 0.000 0.003 0.509
Na: 0.332 0.334 0.839
Zr: 0.002 0.993 0.361
Zr: 0.328 0.338 0.188
Zr: 0.337 0.327 0.483
Zr: 0.662 0.666 0.531
Zr: 0.672 0.666 0.318
Zr: 0.998 0.994 0.145
Ti: 0.001 0.008 0.658
Ti: 0.002 0.998 0.858
Ti: 0.334 0.332 0.982
Ti: 0.347 0.322 0.695
Ti: 0.665 0.666 0.817
Ti: 0.668 0.666 0.024
P: 0.000 0.289 0.757
P: 0.001 0.708 0.254
P: 0.041 0.340 0.083
P: 0.287 0.712 0.756
P: 0.324 0.050 0.592
P: 0.344 0.616 0.083
P: 0.379 0.665 0.422
P: 0.382 0.950 0.921
P: 0.615 0.041 0.084
P: 0.627 0.322 0.592
P: 0.667 0.953 0.423
P: 0.668 0.381 0.921
P: 0.718 0.995 0.756
P: 0.951 0.666 0.921
P: 0.956 0.376 0.423
S: 0.050 0.624 0.592
S: 0.290 0.000 0.254
S: 0.710 0.289 0.254
O: 0.024 0.173 0.092
O: 0.027 0.803 0.598
O: 0.029 0.795 0.308
O: 0.033 0.165 0.810
O: 0.121 0.366 0.141
O: 0.133 0.512 0.643
O: 0.136 0.359 0.430
O: 0.138 0.501 0.930
O: 0.154 0.548 0.537
O: 0.162 0.025 0.600
O: 0.165 0.307 0.746
O: 0.165 0.526 0.247
O: 0.166 0.307 0.032
O: 0.166 0.802 0.809
O: 0.176 0.800 0.091
O: 0.182 0.029 0.307
O: 0.195 0.831 0.417
O: 0.195 0.973 0.912
O: 0.196 0.830 0.701
O: 0.206 0.974 0.202
O: 0.292 0.160 0.536
O: 0.306 0.528 0.745
O: 0.308 0.526 0.031
O: 0.311 0.156 0.248
O: 0.351 0.145 0.645
O: 0.356 0.506 0.430
O: 0.360 0.137 0.930
O: 0.369 0.511 0.141
O: 0.462 0.698 0.476
O: 0.464 0.842 0.261
O: 0.467 0.836 0.976
O: 0.468 0.693 0.766
O: 0.487 0.640 0.366
O: 0.490 0.870 0.584
O: 0.497 0.864 0.866
O: 0.502 0.359 0.930
O: 0.503 0.639 0.074
O: 0.505 0.135 0.429
O: 0.505 0.351 0.645
O: 0.511 0.122 0.141
O: 0.525 0.166 0.032
O: 0.531 0.162 0.746
O: 0.535 0.305 0.248
O: 0.545 0.294 0.536
O: 0.638 0.497 0.866
O: 0.639 0.859 0.074
O: 0.640 0.872 0.367
O: 0.643 0.487 0.584
O: 0.690 0.464 0.261
O: 0.694 0.836 0.766
O: 0.696 0.467 0.976
O: 0.700 0.838 0.477
O: 0.791 0.182 0.307
O: 0.800 0.026 0.091
O: 0.802 0.031 0.810
O: 0.812 0.159 0.600
O: 0.820 0.208 0.202
O: 0.830 0.972 0.701
O: 0.830 0.976 0.416
O: 0.832 0.194 0.912
O: 0.837 0.469 0.766
O: 0.837 0.695 0.976
O: 0.838 0.691 0.261
O: 0.840 0.461 0.477
O: 0.859 0.500 0.074
O: 0.865 0.637 0.866
O: 0.873 0.485 0.367
O: 0.874 0.641 0.584
O: 0.972 0.199 0.701
O: 0.974 0.825 0.200
O: 0.974 0.831 0.912
O: 0.976 0.193 0.415

Computed properties:
Corrected total energy (MP2020 scheme) = -8.24 eV per atom
Total magnetization = 0.0 μB/f.u.
Space group = P1

Na5Y4P5SO24: relaxed, GGA-PBE.

abc: 9.297 9.303 23.593
angles: 89.77 89.92 60.05
Element x y z (fractional)
Na: 0.000 0.000 0.000
Na: 0.000 0.279 0.501
Na: 0.000 0.653 0.754
Na: 0.016 0.308 0.837
Na: 0.302 0.299 0.339
Na: 0.328 0.957 0.421
Na: 0.345 0.961 0.918
Na: 0.632 0.324 0.586
Na: 0.632 0.336 0.088
Na: 0.637 0.001 0.505
Na: 0.640 0.640 0.005
Na: 0.684 0.974 0.170
Na: 0.696 0.614 0.669
Na: 0.970 0.974 0.670
Na: 0.981 0.628 0.253
Y: 0.011 0.622 0.103
Y: 0.012 0.630 0.602
Y: 0.332 0.972 0.571
Y: 0.334 0.974 0.270
Y: 0.335 0.983 0.070
Y: 0.340 0.965 0.770
Y: 0.658 0.309 0.936
Y: 0.662 0.305 0.737
Y: 0.670 0.308 0.436
Y: 0.675 0.314 0.236
Y: 0.988 0.651 0.403
Y: 0.998 0.649 0.903
P: 0.030 0.274 0.672
P: 0.298 0.645 0.004
P: 0.301 0.337 0.499
P: 0.333 0.676 0.671
P: 0.337 0.274 0.174
P: 0.632 0.677 0.167
P: 0.637 0.971 0.667
P: 0.664 0.011 0.335
P: 0.669 0.606 0.837
P: 0.700 0.640 0.506
P: 0.705 0.936 0.007
P: 0.968 0.008 0.837
P: 0.973 0.306 0.339
P: 0.997 0.339 0.999
P: 0.997 0.943 0.505
S: 0.030 0.972 0.168
S: 0.359 0.307 0.836
S: 0.366 0.605 0.336
O: 0.001 0.453 0.667
O: 0.001 0.458 0.339
O: 0.008 0.825 0.167
O: 0.014 0.834 0.453
O: 0.019 0.416 0.944
O: 0.108 0.987 0.115
O: 0.116 0.169 0.618
O: 0.131 0.961 0.218
O: 0.132 0.188 0.725
O: 0.136 0.008 0.835
O: 0.144 0.160 0.007
O: 0.145 0.975 0.507
O: 0.148 0.148 0.335
O: 0.173 0.664 0.666
O: 0.185 0.448 0.169
O: 0.190 0.456 0.838
O: 0.192 0.664 0.951
O: 0.201 0.420 0.444
O: 0.204 0.610 0.339
O: 0.211 0.443 0.551
O: 0.214 0.626 0.057
O: 0.309 0.784 0.723
O: 0.311 0.807 0.007
O: 0.312 0.163 0.504
O: 0.319 0.193 0.229
O: 0.338 0.159 0.834
O: 0.341 0.774 0.332
O: 0.354 0.161 0.123
O: 0.358 0.760 0.618
O: 0.443 0.320 0.785
O: 0.452 0.503 0.286
O: 0.455 0.294 0.888
O: 0.465 0.526 0.388
O: 0.478 0.496 0.000
O: 0.481 0.306 0.497
O: 0.492 0.503 0.675
O: 0.502 0.999 0.333
O: 0.503 0.278 0.175
O: 0.520 0.783 0.834
O: 0.528 0.800 0.508
O: 0.532 0.950 0.009
O: 0.534 0.790 0.217
O: 0.537 0.755 0.111
O: 0.541 0.951 0.717
O: 0.543 0.990 0.610
O: 0.644 0.119 0.388
O: 0.653 0.518 0.890
O: 0.658 0.500 0.173
O: 0.664 0.121 0.673
O: 0.676 0.100 0.281
O: 0.682 0.501 0.783
O: 0.688 0.481 0.500
O: 0.693 0.107 0.999
O: 0.794 0.662 0.456
O: 0.796 0.821 0.956
O: 0.801 0.617 0.561
O: 0.803 0.673 0.167
O: 0.807 0.858 0.062
O: 0.812 0.810 0.666
O: 0.818 0.836 0.339
O: 0.835 0.116 0.500
O: 0.835 0.327 0.997
O: 0.836 0.607 0.839
O: 0.855 0.288 0.675
O: 0.860 0.121 0.172
O: 0.862 0.322 0.288
O: 0.865 0.095 0.783
O: 0.875 0.112 0.890
O: 0.892 0.296 0.396
O: 0.975 0.453 0.050
O: 0.978 0.863 0.560
O: 0.994 0.831 0.840

Computed properties:
Corrected total energy (MP2020 scheme) = -7.70 eV per atom
Total magnetization = 0.0 μB/f.u.
Space group = P1

Na3Y2Zn2PS5O24: relaxed, GGA-PBE.

abc: 8.995 9.020 23.576
angles: 89.48 89.38 60.13
Element x y z (fractional)
Na: 0.000 0.000 0.000
Na: 0.005 0.636 0.750
Na: 0.011 0.270 0.495
Na: 0.306 0.294 0.332
Na: 0.342 0.960 0.416
Na: 0.362 0.966 0.916
Na: 0.648 0.305 0.575
Na: 0.658 0.307 0.076
Na: 0.992 0.640 0.249
Y: 0.003 0.635 0.401
Y: 0.016 0.631 0.600
Y: 0.671 0.303 0.730
Y: 0.683 0.302 0.230
Y: 0.996 0.639 0.899
Y: 0.999 0.639 0.100
Zn: 0.322 0.974 0.266
Zn: 0.339 0.968 0.766
Zn: 0.348 0.976 0.567
Zn: 0.362 0.969 0.066
Zn: 0.660 0.297 0.930
Zn: 0.668 0.301 0.429
P: 0.318 0.325 0.498
P: 0.697 0.946 0.999
P: 0.974 0.293 0.336
S: 0.005 0.328 0.000
S: 0.006 0.943 0.500
S: 0.055 0.253 0.665
S: 0.057 0.966 0.164
S: 0.310 0.636 0.999
S: 0.338 0.257 0.167
S: 0.338 0.689 0.666
S: 0.377 0.294 0.833
S: 0.381 0.601 0.333
S: 0.619 0.689 0.167
S: 0.625 0.967 0.666
S: 0.662 0.600 0.833
S: 0.665 0.009 0.333
S: 0.697 0.637 0.501
S: 0.976 0.010 0.834
O: 0.001 0.454 0.337
O: 0.027 0.838 0.449
O: 0.033 0.410 0.949
O: 0.033 0.429 0.663
O: 0.036 0.811 0.162
O: 0.130 0.160 0.612
O: 0.137 0.982 0.110
O: 0.147 0.993 0.827
O: 0.154 0.951 0.215
O: 0.155 0.169 0.716
O: 0.156 0.154 0.006
O: 0.158 0.135 0.329
O: 0.161 0.959 0.505
O: 0.182 0.431 0.163
O: 0.183 0.668 0.663
O: 0.198 0.662 0.949
O: 0.202 0.407 0.444
O: 0.204 0.450 0.838
O: 0.207 0.615 0.338
O: 0.224 0.442 0.549
O: 0.229 0.607 0.050
O: 0.315 0.798 0.005
O: 0.320 0.152 0.505
O: 0.321 0.180 0.221
O: 0.322 0.784 0.718
O: 0.353 0.157 0.117
O: 0.355 0.771 0.614
O: 0.361 0.139 0.828
O: 0.363 0.772 0.326
O: 0.458 0.319 0.781
O: 0.459 0.491 0.282
O: 0.479 0.275 0.884
O: 0.482 0.485 0.992
O: 0.482 0.520 0.384
O: 0.493 0.277 0.169
O: 0.493 0.513 0.669
O: 0.496 0.308 0.491
O: 0.508 0.995 0.327
O: 0.509 0.773 0.828
O: 0.519 0.964 0.006
O: 0.524 0.766 0.114
O: 0.526 0.787 0.508
O: 0.528 0.987 0.615
O: 0.537 0.786 0.219
O: 0.544 0.949 0.719
O: 0.640 0.116 0.383
O: 0.640 0.513 0.169
O: 0.645 0.123 0.670
O: 0.646 0.514 0.885
O: 0.685 0.498 0.782
O: 0.688 0.090 0.280
O: 0.693 0.121 0.992
O: 0.693 0.474 0.495
O: 0.777 0.665 0.449
O: 0.785 0.833 0.946
O: 0.796 0.666 0.164
O: 0.800 0.813 0.662
O: 0.811 0.611 0.550
O: 0.818 0.860 0.051
O: 0.820 0.617 0.836
O: 0.820 0.837 0.337
O: 0.849 0.313 0.994
O: 0.853 0.117 0.495
O: 0.864 0.318 0.283
O: 0.866 0.095 0.784
O: 0.879 0.273 0.670
O: 0.881 0.121 0.167
O: 0.890 0.277 0.391
O: 0.895 0.106 0.887
O: 0.980 0.859 0.551
O: 0.983 0.435 0.050
O: 0.993 0.835 0.837

Computed properties:
Corrected total energy (MP2020 scheme) = -6.82 eV per atom
Total magnetization = 0.0 μB/f.u.
Space group = P1

Energy of formation from the pure elements readings, ordered: -2.6830, -2.9830, -3.0271, -2.3756 eV/atom